A relaxed structure of MgSc. Source: the Materials Project database, functional meta-GGA r2SCAN.

Lattice parameters (Å, degrees): 3.5981 5.0902 5.0887 90.00 90.00 90.00
With the nearest neighbours (Å) after each atom.
Atoms (fractional coordinates):
1 Sc 0.0000 0.7500 0.7435  8 Mg 3.11-3.13
2 Sc 0.0000 0.2500 0.2565  8 Mg 3.11-3.13
3 Mg 0.5000 0.2500 0.7587  8 Sc 3.11-3.13
4 Mg 0.5000 0.7500 0.2413  8 Sc 3.11-3.13

The calculated formation energy is -0.029 eV per atom. As for the crystal system: orthorhombic.

=====

A relaxed structure of Mg7Sc. Source: the Materials Project database, functional meta-GGA r2SCAN.

Lattice parameters (Å, degrees): 6.3748 6.3748 6.3748 60.00 60.00 60.00
With the nearest neighbours (Å) after each atom.
Atoms (fractional coordinates):
1 Mg 0.0000 0.5000 0.5000  10 Mg 3.19, 2 Sc 3.19
2 Mg 0.5000 0.0000 0.5000  10 Mg 3.19, 2 Sc 3.19
3 Mg 0.0000 0.0000 0.5000  10 Mg 3.19, 2 Sc 3.19
4 Mg 0.5000 0.0000 0.0000  10 Mg 3.19, 2 Sc 3.19
5 Mg 0.5000 0.5000 0.5000  12 Mg 3.19
6 Mg 0.0000 0.5000 0.0000  10 Mg 3.19, 2 Sc 3.19
7 Mg 0.5000 0.5000 0.0000  10 Mg 3.19, 2 Sc 3.19
8 Sc 0.0000 0.0000 0.0000  12 Mg 3.19

The calculated formation energy is 0.026 eV per atom. As for the crystal system: cubic.

=====

A relaxed structure of Mg5Sc. Source: the Materials Project database, functional meta-GGA r2SCAN.

Lattice parameters (Å, degrees): 6.1514 6.1514 7.6097 75.44 75.44 29.73
With the nearest neighbours (Å) after each atom.
Atoms (fractional coordinates):
1 Mg 0.2774 0.2774 0.9453  10 Mg 3.16-3.23, 2 Sc 3.18
2 Mg 0.3361 0.3361 0.3341  9 Mg 3.16-3.21, 3 Sc 3.20-3.23
3 Mg 0.6662 0.6662 0.6629  11 Mg 3.16-3.22, 1 Sc 3.18
4 Mg 0.9423 0.9423 0.6157  10 Mg 3.16-3.21, 2 Sc 3.25
5 Mg 0.9990 0.9990 0.0001  10 Mg 3.16-3.23, 2 Sc 3.19
6 Sc 0.6122 0.6122 0.2752  2 Sc 3.16, 10 Mg 3.18-3.25

The calculated formation energy is 0.019 eV per atom. As for the crystal system: monoclinic.

=====

A relaxed structure of Mg2Sc. Source: the Materials Project database, functional meta-GGA r2SCAN.

Lattice parameters (Å, degrees): 6.2025 6.2025 7.6058 75.26 75.26 29.57
With the nearest neighbours (Å) after each atom.
Atoms (fractional coordinates):
1 Mg 0.8578 0.8578 0.5319  8 Mg 3.14-3.32, 4 Sc 3.21-3.22
2 Mg 0.1976 0.1976 0.8584  7 Mg 3.14-3.21, 5 Sc 3.21-3.26
3 Mg 0.8024 0.8024 0.1416  7 Mg 3.14-3.21, 5 Sc 3.21-3.26
4 Mg 0.1422 0.1422 0.4681  8 Mg 3.14-3.32, 4 Sc 3.21-3.22
5 Sc 0.4763 0.4763 0.8035  3 Sc 3.17-3.19, 9 Mg 3.21-3.26
6 Sc 0.5237 0.5237 0.1965  3 Sc 3.17-3.19, 9 Mg 3.21-3.26

The calculated formation energy is 0.005 eV per atom. As for the crystal system: monoclinic.

=====

What DFT total energy values result from the calculations? In sequence: -7.813; -5.047; -5.355; -6.574 eV/atom.